Record 1
A geometry-optimized MgGeP2 structure. Source: the Materials Project database, functional r2SCAN.

energy of formation from the pure elements = -0.31 eV per atom
SG = No. 115
relative energy among the computed polymorphs = 71.5 meV per atom

Unit cell a=3.853 b=3.853 c=5.907 alpha=90.00 beta=90.00 gamma=90.00
Fractional positions:
Mg  0.000  0.000  0.000
Ge  0.500  0.500  0.500
P  0.000  0.500  0.269
P  0.500  0.000  0.731

=====

Record 2
A geometry-optimized Pm2MgGe structure. Source: the Materials Project database, functional r2SCAN.

energy of formation from the pure elements = -0.41 eV per atom
SG = No. 225

Unit cell a=5.241 b=5.241 c=5.241 alpha=60.00 beta=60.00 gamma=60.00
Fractional positions:
Pm  0.250  0.250  0.250
Pm  0.750  0.750  0.750
Mg  0.000  0.000  0.000
Ge  0.500  0.500  0.500

=====

Record 3
A geometry-optimized Pr2MgGe2 structure. Source: the Materials Project database, functional r2SCAN.

energy of formation from the pure elements = -0.84 eV per atom
SG = No. 127

Unit cell a=4.429 b=7.512 c=7.512 alpha=90.00 beta=90.00 gamma=90.00
Fractional positions:
Pr  0.500  0.821  0.321
Pr  0.500  0.679  0.821
Pr  0.500  0.321  0.179
Pr  0.500  0.179  0.679
Mg  0.000  0.500  0.500
Mg  0.000  0.000  0.000
Ge  0.000  0.619  0.119
Ge  0.000  0.881  0.619
Ge  0.000  0.381  0.881
Ge  0.000  0.119  0.381

=====

Record 4
A geometry-optimized Sm2MgGe2 structure. Source: the Materials Project database, functional r2SCAN.

energy of formation from the pure elements = -0.88 eV per atom
SG = No. 127

Unit cell a=7.376 b=7.376 c=4.329 alpha=90.00 beta=90.00 gamma=90.00
Fractional positions:
Sm  0.322  0.178  0.500
Sm  0.822  0.322  0.500
Sm  0.178  0.678  0.500
Sm  0.678  0.822  0.500
Mg  0.000  0.000  0.000
Mg  0.500  0.500  0.000
Ge  0.621  0.121  0.000
Ge  0.121  0.379  0.000
Ge  0.879  0.621  0.000
Ge  0.379  0.879  0.000

=====

Record 5
A geometry-optimized SrMgGe structure. Source: the Materials Project database, functional r2SCAN.

energy of formation from the pure elements = -0.61 eV per atom
SG = No. 62

Unit cell a=4.604 b=7.850 c=8.548 alpha=90.00 beta=90.00 gamma=90.00
Fractional positions:
Sr  0.250  0.015  0.816
Sr  0.250  0.515  0.684
Sr  0.750  0.485  0.316
Sr  0.750  0.985  0.184
Mg  0.750  0.358  0.937
Mg  0.250  0.642  0.063
Mg  0.750  0.858  0.563
Mg  0.250  0.142  0.437
Ge  0.750  0.220  0.609
Ge  0.250  0.280  0.109
Ge  0.250  0.780  0.391
Ge  0.750  0.720  0.891

=====

Record 6
A geometry-optimized Tm2MgGe2 structure. Source: the Materials Project database, functional r2SCAN.

energy of formation from the pure elements = -0.85 eV per atom
SG = No. 127

Unit cell a=7.153 b=7.153 c=4.163 alpha=90.00 beta=90.00 gamma=90.00
Fractional positions:
Tm  0.323  0.177  0.500
Tm  0.823  0.323  0.500
Tm  0.177  0.677  0.500
Tm  0.677  0.823  0.500
Mg  0.000  0.000  0.000
Mg  0.500  0.500  0.000
Ge  0.624  0.124  0.000
Ge  0.124  0.376  0.000
Ge  0.876  0.624  0.000
Ge  0.376  0.876  0.000

=====

Record 7
A geometry-optimized Y2MgGe2 structure. Source: the Materials Project database, functional r2SCAN.

energy of formation from the pure elements = -0.88 eV per atom
SG = No. 127

Unit cell a=7.260 b=7.260 c=4.239 alpha=90.00 beta=90.00 gamma=90.00
Fractional positions:
Y  0.322  0.178  0.500
Y  0.822  0.322  0.500
Y  0.178  0.678  0.500
Y  0.678  0.822  0.500
Mg  0.000  0.000  0.000
Mg  0.500  0.500  0.000
Ge  0.623  0.123  0.000
Ge  0.123  0.377  0.000
Ge  0.877  0.623  0.000
Ge  0.377  0.877  0.000

=====

Record 8
A geometry-optimized YbMgGe structure. Source: the Materials Project database, functional r2SCAN.

energy of formation from the pure elements = -0.65 eV per atom
SG = No. 62

Unit cell a=4.172 b=7.022 c=8.584 alpha=90.00 beta=90.00 gamma=90.00
Fractional positions:
Yb  0.750  0.964  0.671
Yb  0.250  0.036  0.329
Yb  0.750  0.464  0.829
Yb  0.250  0.536  0.171
Mg  0.750  0.860  0.058
Mg  0.250  0.140  0.942
Mg  0.750  0.360  0.442
Mg  0.250  0.640  0.558
Ge  0.750  0.745  0.371
Ge  0.250  0.255  0.629
Ge  0.750  0.245  0.129
Ge  0.250  0.755  0.871